# LiTm3

An optimized crystal structure of LiTm3 (PBE, Materials Project).

It has space group P6_3/mmc (No. 194), with a = 6.9017 Å, b = 6.9017 Å, c = 5.4558 Å, α = 90.00°, β = 90.00° and γ = 120.00°. The distinct sites, in fractional coordinates, are Li at (0.3333, 0.6667, 0.2500) and Tm at (0.1681, 0.3363, 0.7500).

As for the size of the total moment: 0.6 μB per formula unit.

# Cs2TlSbCl6

An optimized crystal structure of Cs2TlSbCl6 (PBE, Materials Project).

It has space group Fm-3m (No. 225), with a = 11.454 Å, b = 11.454 Å, c = 11.454 Å, α = 90.00°, β = 90.00° and γ = 90.00°. The distinct sites, in fractional coordinates, are Cs at (0.250, 0.250, 0.250), Tl at (0.000, 0.000, 0.000), Sb at (0.000, 0.000, 0.500) and Cl at (0.000, 0.000, 0.267).

As for the size of the total moment: 0.0 μB per formula unit.

# Cd3Ga5O12

An optimized crystal structure of Cd3Ga5O12 (PBE, Materials Project).

It has space group Ia-3d (No. 230), with a = 12.468 Å, b = 12.468 Å, c = 12.468 Å, α = 90.00°, β = 90.00° and γ = 90.00°. The distinct sites, in fractional coordinates, are Cd at (0.000, 0.250, 0.125), Ga at (0.000, 0.000, 0.000), Ga at (0.000, 0.250, 0.375) and O at (0.029, 0.052, 0.648).

As for the size of the total moment: 3.0 μB per formula unit.

# SbCNCl6

An optimized crystal structure of SbCNCl6 (PBE, Materials Project).

It has space group Pnma (No. 62), with a = 13.409 Å, b = 10.127 Å, c = 8.083 Å, α = 90.00°, β = 90.00° and γ = 90.00°. The distinct sites, in fractional coordinates, are Sb at (0.083, 0.250, 0.209), C at (0.055, 0.750, 0.155), N at (0.003, 0.750, 0.040), Cl at (0.034, 0.585, 0.715), Cl at (0.126, 0.750, 0.314), Cl at (0.168, 0.250, 0.466) and Cl at (0.184, 0.085, 0.083).

As for the size of the total moment: 0.0 μB per formula unit.

no.,ΔH_f (0 K) (meV per atom)
1,182
2,-1754
3,-1744
4,-755